Here is a geometry-optimized TmIn5Rh structure from Materials Project. Energies are from PBE-GGA.

a b c (Å): 4.6753 4.6753 7.4603
angles (deg): 90.00 90.00 90.00
Last column: nearest neighbours and their distance in Å.
Fractional coordinates of all 7 atoms:
In 0.0000 0.5000 0.2991  2 Rh 2.78, 1 In 3.00
Tm 0.0000 0.0000 0.0000  12 In 3.23-3.31
In 0.5000 0.0000 0.2991  2 Rh 2.78, 1 In 3.00
In 0.5000 0.5000 0.0000  8 In 3.23, 4 Tm 3.31
In 0.0000 0.5000 0.7009  2 Rh 2.78, 1 In 3.00
Rh 0.0000 0.0000 0.5000  8 In 2.78
In 0.5000 0.0000 0.7009  2 Rh 2.78, 1 In 3.00

Computed properties:
- space group = P4/mmm (123)
- formation energy (eV/atom) = -0.370

=====

Here is a geometry-optimized SiO2 structure from Materials Project. Energies are from PBE-GGA.

a b c (Å): 5.2299 5.2299 8.3344
angles (deg): 90.00 90.00 121.78
Last column: nearest neighbours and their distance in Å.
Fractional coordinates of all 12 atoms:
Si 0.4134 0.7477 0.5625  4 O 1.62
O 0.1104 0.6246 0.4561  2 Si 1.62
Si 0.7477 0.4134 0.4375  4 O 1.62
Si 0.5866 0.2523 0.0625  4 O 1.62
O 0.3754 0.8896 0.0439  2 Si 1.62
O 0.6698 0.3302 0.2500  2 Si 1.62
O 0.3302 0.6698 0.7500  2 Si 1.62
O 0.8896 0.3754 0.9561  2 Si 1.62
O 0.5964 0.5964 0.5000  2 Si 1.62
Si 0.2523 0.5866 0.9375  4 O 1.62
O 0.6246 0.1104 0.5439  2 Si 1.62
O 0.4036 0.4036 0.0000  2 Si 1.62

Computed properties:
- piezoelectric modulus e_max (C/m2) = 1.4
- space group = C222_1 (20)
- formation energy (eV/atom) = -3.260

=====

Here is a geometry-optimized IrC2 structure from Materials Project. Energies are from PBE-GGA.

a b c (Å): 5.1661 5.1661 9.4093
angles (deg): 90.00 90.00 104.97
Last column: nearest neighbours and their distance in Å.
Fractional coordinates of all 24 atoms:
C 0.6718 0.8370 0.5157  1 C 1.35
Ir 0.8037 0.8037 0.7939  6 C 2.13-2.24
C 0.1718 0.3370 0.9843  1 C 1.35
C 0.8282 0.6630 0.0157  1 C 1.35
Ir 0.2443 0.7557 0.0000  6 C 2.08-2.17
C 0.8370 0.6718 0.5157  1 C 1.35
C 0.2265 0.8791 0.7165  1 C 1.40
Ir 0.7443 0.2557 0.5000  6 C 2.08-2.17
Ir 0.3037 0.3037 0.7061  6 C 2.13-2.24
C 0.7265 0.3791 0.7835  1 C 1.40
Ir 0.6963 0.6963 0.2939  6 C 2.13-2.24
Ir 0.7557 0.2443 0.0000  6 C 2.08-2.17
C 0.3370 0.1718 0.9843  1 C 1.35
C 0.3282 0.1630 0.4843  1 C 1.35
C 0.6630 0.8282 0.0157  1 C 1.35
C 0.7735 0.1209 0.2835  1 C 1.40
C 0.3791 0.7265 0.7835  1 C 1.40
C 0.1630 0.3282 0.4843  1 C 1.35
C 0.8791 0.2265 0.7165  1 C 1.40
Ir 0.1963 0.1963 0.2061  6 C 2.13-2.24
C 0.6209 0.2735 0.2165  1 C 1.40
Ir 0.2557 0.7443 0.5000  6 C 2.08-2.17
C 0.2735 0.6209 0.2165  1 C 1.40
C 0.1209 0.7735 0.2835  1 C 1.40

Computed properties:
- E above lowest polymorph (eV per atom) = 0.000
- space group = Cmce (64)
- formation energy (eV/atom) = 1.175

=====

Here is a geometry-optimized TbLuO3 structure from Materials Project. Energies are from PBE-GGA.

a b c (Å): 5.6160 5.8840 8.2664
angles (deg): 90.00 90.00 90.00
Last column: nearest neighbours and their distance in Å.
Fractional coordinates of all 20 atoms:
O 0.6849 0.3122 0.0736  2 Lu 2.17-2.20, 1 Tb 2.25
O 0.6849 0.3122 0.4264  2 Lu 2.17-2.20, 1 Tb 2.25
Tb 0.5171 0.5549 0.2500  4 O 2.24-2.39
O 0.3597 0.9315 0.2500  2 Tb 2.24-2.39, 2 Lu 2.25
O 0.8597 0.5685 0.7500  2 Tb 2.24-2.39, 2 Lu 2.25
O 0.3151 0.6878 0.5736  2 Lu 2.17-2.20, 1 Tb 2.25
O 0.3151 0.6878 0.9264  2 Lu 2.17-2.20, 1 Tb 2.25
Tb 0.9829 0.0549 0.2500  4 O 2.24-2.39
Lu 0.5000 0.0000 0.5000  6 O 2.17-2.25
Lu 0.5000 0.0000 0.0000  6 O 2.17-2.25
Lu 0.0000 0.5000 0.5000  6 O 2.17-2.25
O 0.8151 0.8122 0.4264  2 Lu 2.17-2.20, 1 Tb 2.25
O 0.1849 0.1878 0.5736  2 Lu 2.17-2.20, 1 Tb 2.25
O 0.8151 0.8122 0.0736  2 Lu 2.17-2.20, 1 Tb 2.25
Tb 0.4829 0.4451 0.7500  4 O 2.24-2.39
Tb 0.0171 0.9451 0.7500  4 O 2.24-2.39
O 0.1849 0.1878 0.9264  2 Lu 2.17-2.20, 1 Tb 2.25
O 0.1403 0.4315 0.2500  2 Tb 2.24-2.39, 2 Lu 2.25
O 0.6403 0.0685 0.7500  2 Tb 2.24-2.39, 2 Lu 2.25
Lu 0.0000 0.5000 0.0000  6 O 2.17-2.25

Computed properties:
- space group = Pnma (62)
- formation energy (eV/atom) = -3.988

=====

Here is a geometry-optimized K3ErCl6 structure from Materials Project. Energies are from PBE-GGA.

a b c (Å): 7.8953 7.8953 7.8953
angles (deg): 60.00 60.00 60.00
Last column: nearest neighbours and their distance in Å.
Fractional coordinates of all 10 atoms:
K 0.5000 0.5000 0.5000  6 Cl 2.98
Er 0.0000 0.0000 0.0000  6 Cl 2.61
Cl 0.7666 0.7666 0.2334  1 Er 2.61
K 0.2500 0.2500 0.2500  12 Cl 3.95
Cl 0.7666 0.2334 0.2334  1 Er 2.61
Cl 0.2334 0.2334 0.7666  1 Er 2.61
Cl 0.2334 0.7666 0.7666  1 Er 2.61
Cl 0.7666 0.2334 0.7666  1 Er 2.61
K 0.7500 0.7500 0.7500  12 Cl 3.95
Cl 0.2334 0.7666 0.2334  1 Er 2.61

Computed properties:
- space group = Fm-3m (225)
- formation energy (eV/atom) = -2.430

=====

Here is a geometry-optimized YMg5 structure from Materials Project. Energies are from PBE-GGA.

a b c (Å): 5.7051 5.7051 5.2069
angles (deg): 90.00 90.00 120.00
Last column: nearest neighbours and their distance in Å.
Fractional coordinates of all 6 atoms:
Mg 0.0000 0.6412 0.0000  10 Mg 3.18-3.55, 2 Y 3.31
Mg 0.3588 0.3588 0.0000  10 Mg 3.18-3.55, 2 Y 3.31
Mg 0.6667 0.3333 0.5000  9 Mg 3.18-3.29, 3 Y 3.29
Mg 0.3333 0.6667 0.5000  9 Mg 3.18-3.29, 3 Y 3.29
Y 0.0000 0.0000 0.5000  12 Mg 3.29-3.31
Mg 0.6412 0.0000 0.0000  10 Mg 3.18-3.55, 2 Y 3.31

Computed properties:
- space group = P-62m (189)
- formation energy (eV/atom) = -0.013

=====

Here is a geometry-optimized Zr19O40 structure from Materials Project. Energies are from PBE-GGA.

a b c (Å): 8.1652 8.1706 11.1664
angles (deg): 98.57 107.08 89.97
Last column: nearest neighbours and their distance in Å.
Fractional coordinates of all 59 atoms:
O 0.6343 0.9485 0.4686  2 Zr 2.08-2.09
Zr 0.9977 0.6244 0.3741  4 O 2.08-2.11
O 0.9394 0.0935 0.2226  2 Zr 2.10-2.11
Zr 0.0043 0.8745 0.1246  5 O 2.07-2.30
O 0.8415 0.5455 0.4762  2 Zr 2.10-2.13
Zr 0.2006 0.2240 0.3755  4 O 2.09-2.12
O 0.5416 0.8969 0.2215  2 Zr 2.10-2.12
O 0.7402 0.4955 0.2245  2 Zr 2.11
O 0.3555 0.8064 0.7222  3 Zr 2.07-2.25
Zr 0.5992 0.1753 0.6237  4 O 2.10-2.11
O 0.3399 0.2962 0.2243  2 Zr 2.12
O 0.4413 0.3420 0.4729  2 Zr 2.09-2.10
O 0.8322 0.0477 0.9716  2 Zr 2.08-2.11
O 0.0582 0.4034 0.2803  2 Zr 2.08-2.09
Zr 0.5995 0.4243 0.3748  4 O 2.09-2.13
O 0.1499 0.9697 0.0254  3 Zr 2.07-2.26
Zr 0.0007 0.1202 0.8786  5 O 2.08-2.26
O 0.8617 0.8057 0.2789  2 Zr 2.08-2.10
O 0.6615 0.7056 0.7778  2 Zr 2.10
O 0.0501 0.9128 0.7630  3 Zr 2.09-2.34
O 0.9650 0.3544 0.0306  2 Zr 2.11
Zr 0.5974 0.6734 0.1241  4 O 2.07-2.11
O 0.2378 0.7441 0.4752  2 Zr 2.11
O 0.4571 0.8511 0.9857  2 Zr 2.08-2.33
O 0.5573 0.1566 0.0265  2 Zr 2.11
Zr 0.3927 0.0735 0.1218  4 O 2.07-2.12
O 0.9578 0.8579 0.5270  2 Zr 2.11
Zr 0.2003 0.9744 0.6254  4 O 2.07-2.11
O 0.6456 0.4415 0.9739  2 Zr 2.09-2.12
O 0.7622 0.7551 0.0287  2 Zr 2.11
O 0.2605 0.4921 0.7635  3 Zr 2.09-2.34
Zr 0.4003 0.5814 0.6278  4 O 2.07-2.12
Zr 0.7995 0.0272 0.3744  4 O 2.09-2.10
O 0.7607 0.2558 0.5261  2 Zr 2.10-2.11
O 0.2389 0.2444 0.9729  2 Zr 2.10
O 0.1637 0.4523 0.5277  2 Zr 2.11-2.12
O 0.5596 0.6558 0.5248  2 Zr 2.11-2.12
O 0.4608 0.6071 0.2748  2 Zr 2.11-2.12
O 0.7369 0.9907 0.7189  2 Zr 2.11
O 0.4636 0.1122 0.7751  2 Zr 2.09-2.12
O 0.1407 0.6943 0.2276  2 Zr 2.12
O 0.6633 0.2083 0.2759  2 Zr 2.09-2.10
O 0.3593 0.0542 0.5247  2 Zr 2.11
O 0.2609 0.0036 0.2736  2 Zr 2.11-2.12
Zr 0.0002 0.3766 0.6266  4 O 2.07-2.11
O 0.0401 0.1442 0.4738  2 Zr 2.10
Zr 0.8042 0.5236 0.8721  5 O 2.08-2.25
Zr 0.4023 0.3308 0.8790  5 O 2.09-2.26
Zr 0.8043 0.7668 0.6277  4 O 2.06-2.12
Zr 0.3982 0.8248 0.3763  4 O 2.08-2.11
O 0.3701 0.5398 0.0257  3 Zr 2.07-2.26
O 0.9234 0.5826 0.7244  3 Zr 2.06-2.25
O 0.1392 0.1947 0.7240  2 Zr 2.11
Zr 0.5923 0.9264 0.8700  5 O 2.08-2.25
Zr 0.7993 0.2741 0.1256  4 O 2.10-2.11
Zr 0.2051 0.4785 0.1229  4 O 2.07-2.12
O 0.8572 0.2987 0.7778  2 Zr 2.09-2.12
O 0.0331 0.6422 0.9890  3 Zr 2.08-2.32
O 0.5397 0.3975 0.7224  2 Zr 2.11

Computed properties:
- space group = P1 (1)
- formation energy (eV/atom) = -3.576

=====

Here is a geometry-optimized Sr2NbInO6 structure from Materials Project. Energies are from PBE-GGA.

a b c (Å): 5.8514 5.7972 10.0594
angles (deg): 54.74 90.00 90.00
Last column: nearest neighbours and their distance in Å.
Fractional coordinates of all 20 atoms:
O 0.9806 0.6641 0.2603  1 Nb 2.02, 1 In 2.19
Sr 0.5341 0.7581 0.2492  6 O 2.52-2.80
Nb 0.0000 0.5000 0.5000  6 O 2.02-2.03
O 0.2046 0.1860 0.5383  1 Nb 2.02, 1 In 2.19
O 0.7759 0.2559 0.0414  1 Nb 2.03, 1 In 2.19
O 0.2954 0.1860 0.0383  1 Nb 2.02, 1 In 2.19
In 0.5000 0.0000 0.5000  6 O 2.19
Sr 0.0341 0.2419 0.2508  6 O 2.52-2.80
In 0.0000 0.0000 0.0000  6 O 2.19
O 0.4806 0.3359 0.2397  1 Nb 2.02, 1 In 2.19
Sr 0.9659 0.7581 0.7492  6 O 2.52-2.80
O 0.5194 0.6641 0.7603  1 Nb 2.02, 1 In 2.19
Nb 0.5000 0.5000 0.0000  6 O 2.02-2.03
O 0.7954 0.8140 0.4617  1 Nb 2.02, 1 In 2.19
Sr 0.4659 0.2419 0.7508  6 O 2.52-2.80
O 0.7241 0.2559 0.5414  1 Nb 2.03, 1 In 2.19
O 0.2241 0.7441 0.9586  1 Nb 2.03, 1 In 2.19
O 0.2759 0.7441 0.4586  1 Nb 2.03, 1 In 2.19
O 0.7046 0.8140 0.9617  1 Nb 2.02, 1 In 2.19
O 0.0194 0.3359 0.7397  1 Nb 2.02, 1 In 2.19

Computed properties:
- space group = P2_1/c (14)
- formation energy (eV/atom) = -2.984